1.
A geometry-optimized Lu4Hf3O12 structure. Source: Materials Project, functional PBE.

Structure (POSCAR):
```
Lu4Hf3O12
1.0
6.312 0.000 0.000
-1.040 6.239 0.000
-2.061 -2.358 12.226
Lu Hf O
8 6 24
direct
0.110 0.137 0.404
0.185 0.390 0.680
0.197 0.390 0.180
0.359 0.688 0.946
0.641 0.312 0.054
0.803 0.610 0.820
0.815 0.610 0.320
0.890 0.863 0.596
0.111 0.140 0.905
0.359 0.683 0.445
0.495 0.995 0.749
0.505 0.005 0.251
0.641 0.317 0.555
0.889 0.860 0.095
0.073 0.416 0.841
0.073 0.831 0.963
0.089 0.819 0.464
0.095 0.435 0.342
0.178 0.055 0.714
0.182 0.041 0.203
0.314 0.405 0.031
0.329 0.425 0.536
0.420 0.680 0.777
0.420 0.691 0.287
0.432 0.084 0.907
0.458 0.093 0.412
0.542 0.907 0.588
0.568 0.916 0.093
0.580 0.309 0.713
0.580 0.320 0.223
0.671 0.575 0.464
0.686 0.595 0.969
0.818 0.959 0.797
0.822 0.945 0.286
0.905 0.565 0.658
0.911 0.181 0.536
0.927 0.169 0.037
0.927 0.584 0.159
```

Calculated values
space group = P-1 (2)
formation energy = -4.0899 eV/atom
VASP energy = -9.31 eV/atom

***

2.
A geometry-optimized LuHfRh2 structure. Source: Materials Project, functional PBE.

Structure (POSCAR):
```
LuHfRh2
1.0
0.000 3.315 3.315
3.315 0.000 3.315
3.315 3.315 0.000
Lu Hf Rh
1 1 2
direct
0.000 0.000 0.000
0.500 0.500 0.500
0.250 0.250 0.250
0.750 0.750 0.750
```

Calculated values
space group = Fm-3m (225)
formation energy = -0.9280 eV/atom
VASP energy = -8.23 eV/atom

***

3.
A geometry-optimized LuHfRu2 structure. Source: Materials Project, functional PBE.

Structure (POSCAR):
```
LuHfRu2
1.0
0.000 3.282 3.282
3.282 0.000 3.282
3.282 3.282 0.000
Lu Hf Ru
1 1 2
direct
0.000 0.000 0.000
0.500 0.500 0.500
0.250 0.250 0.250
0.750 0.750 0.750
```

Calculated values
space group = Fm-3m (225)
formation energy = -0.6679 eV/atom
VASP energy = -8.92 eV/atom

***

4.
A geometry-optimized HfMg3 structure. Source: Materials Project, functional PBE.

Structure (POSCAR):
```
HfMg3
1.0
4.433 0.000 0.000
0.000 4.433 0.000
0.000 0.000 4.433
Hf Mg
1 3
direct
0.000 0.000 0.000
0.000 0.500 0.500
0.500 0.000 0.500
0.500 0.500 0.000
```

Calculated values
space group = Pm-3m (221)
formation energy = 0.1441 eV/atom
VASP energy = -3.55 eV/atom

***

5.
A geometry-optimized HfMg3 structure. Source: Materials Project, functional PBE.

Structure (POSCAR):
```
HfMg3
1.0
6.310 0.000 0.000
-3.155 5.465 0.000
0.000 0.000 5.031
Hf Mg
2 6
direct
0.333 0.667 0.250
0.667 0.333 0.750
0.168 0.336 0.750
0.168 0.832 0.750
0.336 0.168 0.250
0.664 0.832 0.750
0.832 0.168 0.250
0.832 0.664 0.250
```

Calculated values
space group = P6_3/mmc (194)
formation energy = 0.1506 eV/atom
VASP energy = -3.54 eV/atom

***

6.
A geometry-optimized HfMg3 structure. Source: Materials Project, functional PBE.

Structure (POSCAR):
```
HfMg3
1.0
0.000 3.521 3.521
3.521 0.000 3.521
3.521 3.521 0.000
Hf Mg
1 3
direct
0.000 0.000 0.000
0.250 0.250 0.250
0.500 0.500 0.500
0.750 0.750 0.750
```

Calculated values
space group = Fm-3m (225)
formation energy = 0.1983 eV/atom
VASP energy = -3.49 eV/atom

***

7.
A geometry-optimized HfMg7 structure. Source: Materials Project, functional PBE.

Structure (POSCAR):
```
HfMg7
1.0
6.408 0.000 0.000
-3.204 5.550 0.000
0.000 0.000 5.065
Hf Mg
1 7
direct
0.000 0.000 0.000
0.002 0.501 0.000
0.164 0.327 0.500
0.164 0.836 0.500
0.499 0.501 0.000
0.499 0.998 0.000
0.667 0.333 0.500
0.673 0.836 0.500
```

Calculated values
space group = P-6m2 (187)
formation energy = 0.1021 eV/atom
VASP energy = -2.54 eV/atom

***

8.
A geometry-optimized HfMg3 structure. Source: Materials Project, functional PBE.

Structure (POSCAR):
```
HfMg3
1.0
-2.226 2.226 4.485
2.226 -2.226 4.485
2.226 2.226 -4.485
Hf Mg
1 3
direct
0.000 0.000 0.000
0.250 0.750 0.500
0.500 0.500 0.000
0.750 0.250 0.500
```

Calculated values
space group = I4/mmm (139)
formation energy = 0.2513 eV/atom
VASP energy = -3.44 eV/atom

***

9.
A geometry-optimized HfMg3 structure. Source: Materials Project, functional PBE.

Structure (POSCAR):
```
HfMg3
1.0
3.026 0.000 0.000
0.000 5.089 0.000
0.000 0.000 5.794
Hf Mg
1 3
direct
0.000 0.000 0.000
0.000 0.500 0.689
0.500 0.000 0.498
0.500 0.500 0.173
```

Calculated values
space group = Pmm2 (25)
formation energy = 0.1717 eV/atom
VASP energy = -3.52 eV/atom

***

10.
A geometry-optimized Hf2Mg structure. Source: Materials Project, functional PBE.

Structure (POSCAR):
```
Hf2Mg
1.0
5.679 0.000 0.000
0.000 5.679 0.000
0.000 0.000 4.969
Hf Mg
4 2
direct
0.170 0.170 0.000
0.330 0.670 0.500
0.670 0.330 0.500
0.830 0.830 0.000
0.000 0.000 0.500
0.500 0.500 0.000
```

Calculated values
space group = P4_2/mnm (136)
formation energy = 1.3455 eV/atom
VASP energy = -5.83 eV/atom

***

11.
A geometry-optimized NaHfMg6O7 structure. Source: Materials Project, functional PBE.

Structure (POSCAR):
```
NaHfMg6O7
1.0
4.322 0.000 0.000
0.000 4.322 0.000
0.000 0.000 8.877
Na Hf Mg O
1 1 6 7
direct
0.000 0.000 0.000
0.500 0.500 0.000
0.000 0.000 0.497
0.000 0.500 0.255
0.000 0.500 0.739
0.500 0.000 0.255
0.500 0.000 0.739
0.500 0.500 0.501
0.000 0.000 0.265
0.000 0.000 0.730
0.000 0.500 0.498
0.000 0.500 0.990
0.500 0.000 0.498
0.500 0.000 0.990
0.500 0.500 0.744
```

Calculated values
space group = P4mm (99)
formation energy = -2.6198 eV/atom
VASP energy = -6.00 eV/atom
energy above the lowest structure with this stoichiometry = 0 kJ/mol of formula units

***

12.
A geometry-optimized NaHfMg14O15 structure. Source: Materials Project, functional PBE.

Structure (POSCAR):
```
NaHfMg14O15
1.0
4.330 0.000 0.000
0.000 8.650 0.000
0.000 0.000 8.611
Na Hf Mg O
1 1 14 15
direct
0.000 0.000 0.000
0.000 0.500 0.992
0.000 0.000 0.500
0.000 0.240 0.744
0.000 0.243 0.255
0.000 0.500 0.499
0.000 0.757 0.255
0.000 0.760 0.744
0.500 0.000 0.249
0.500 0.000 0.751
0.500 0.236 0.999
0.500 0.248 0.501
0.500 0.500 0.256
0.500 0.500 0.747
0.500 0.752 0.501
0.500 0.764 0.999
0.000 0.000 0.264
0.000 0.000 0.735
0.000 0.254 0.500
0.000 0.263 0.001
0.000 0.500 0.254
0.000 0.737 0.001
0.000 0.746 0.500
0.500 0.000 0.001
0.500 0.000 0.499
0.500 0.246 0.750
0.500 0.251 0.249
0.500 0.500 0.005
0.500 0.500 0.500
0.500 0.749 0.249
0.500 0.754 0.750
```

Calculated values
space group = Pmm2 (25)
formation energy = -2.8319 eV/atom
VASP energy = -5.98 eV/atom
energy above the lowest structure with this stoichiometry = 0 kJ/mol of formula units